1.
Computed, not measured: a relaxed structure of SrCaZrVO6 at the GGA+U level of DFT.

Computed properties:
The total moment comes out at 1.00 μB per cell. The space-group type is F-43m (216). As for the formation energy: -3.181 eV/atom. The calculation puts the MP2020-corrected energy at -8.282 eV/atom.

Cell: 5.6868 5.6868 5.6868 Å, 60.00 60.00 60.00°
Last column: nearest neighbours and their distance in Å.
Atoms (fractional coordinates):
Sr 0.0000 0.0000 0.0000  12 O 2.84
Ca 0.5000 0.5000 0.5000  12 O 2.84
Zr 0.7500 0.7500 0.7500  6 O 2.08
V 0.2500 0.2500 0.2500  6 O 1.94
O 0.0091 0.0091 0.4909  1 V 1.94, 1 Zr 2.08
O 0.0091 0.4909 0.0091  1 V 1.94, 1 Zr 2.08
O 0.0091 0.4909 0.4909  1 V 1.94, 1 Zr 2.08
O 0.4909 0.0091 0.0091  1 V 1.94, 1 Zr 2.08
O 0.4909 0.0091 0.4909  1 V 1.94, 1 Zr 2.08
O 0.4909 0.4909 0.0091  1 V 1.94, 1 Zr 2.08

2.
Computed, not measured: a relaxed structure of SrCaZnWO6 at the GGA+U level of DFT.

Computed properties:
The total moment comes out at 0.00 μB per cell. The space-group type is F-43m (216). As for the formation energy: -2.613 eV/atom. The calculation puts the MP2020-corrected energy at -7.373 eV/atom.

Cell: 5.6694 5.6694 5.6694 Å, 60.00 60.00 60.00°
Last column: nearest neighbours and their distance in Å.
Atoms (fractional coordinates):
Sr 0.0000 0.0000 0.0000  12 O 2.84
Ca 0.5000 0.5000 0.5000  12 O 2.84
Zn 0.7500 0.7500 0.7500  6 O 2.07
W 0.2500 0.2500 0.2500  6 O 1.94
O 0.0080 0.0080 0.4920  1 W 1.94, 1 Zn 2.07
O 0.0080 0.4920 0.0080  1 W 1.94, 1 Zn 2.07
O 0.0080 0.4920 0.4920  1 W 1.94, 1 Zn 2.07
O 0.4920 0.0080 0.0080  1 W 1.94, 1 Zn 2.07
O 0.4920 0.0080 0.4920  1 W 1.94, 1 Zn 2.07
O 0.4920 0.4920 0.0080  1 W 1.94, 1 Zn 2.07

3.
Computed, not measured: a relaxed structure of Ca2Ta2WO8 at the GGA+U level of DFT.

Computed properties:
The total moment comes out at 8.00 μB per cell. The space-group type is C2 (5). As for the formation energy: -2.918 eV/atom. The calculation puts the MP2020-corrected energy at -9.093 eV/atom.

Cell: 10.1234 10.1234 5.5286 Å, 92.70 92.70 36.68°
Last column: nearest neighbours and their distance in Å.
Atoms (fractional coordinates):
Ca 0.2024 0.2024 0.4881  4 O 2.22-2.39
Ca 0.4446 0.1312 0.0168  4 O 2.23-2.31
Ca 0.7976 0.7976 0.5119  4 O 2.22-2.39
Ca 0.8688 0.5554 0.9832  4 O 2.23-2.31
Ta 0.0817 0.6941 0.9922  6 O 1.97-2.16
Ta 0.3059 0.9183 0.0078  6 O 1.97-2.16
Ta 0.3472 0.4211 0.5138  6 O 1.95-2.16
Ta 0.5789 0.6528 0.4862  6 O 1.95-2.16
W 0.6875 0.3125 0.0000  6 O 2.17-2.24
W 0.9545 0.0455 0.5000  6 O 2.18-2.21
O 0.0160 0.0946 0.8535  1 Ta 2.01, 2 W 2.18-2.21
O 0.0893 0.5584 0.2662  2 Ta 2.05-2.16, 1 Ca 2.24
O 0.0950 0.7543 0.6452  2 Ta 2.08-2.13, 1 W 2.18
O 0.1686 0.2012 0.0837  1 Ta 1.97
O 0.2004 0.4330 0.7720  2 Ta 2.04-2.16
O 0.2457 0.9050 0.3548  2 Ta 2.08-2.13, 1 W 2.18
O 0.3790 0.4899 0.1738  2 Ta 2.07-2.16, 1 W 2.24
O 0.4416 0.9107 0.7338  2 Ta 2.05-2.16, 1 Ca 2.24
O 0.4758 0.1471 0.4198  1 Ta 1.95
O 0.5101 0.6210 0.8262  2 Ta 2.07-2.16, 1 W 2.24
O 0.5670 0.7996 0.2280  2 Ta 2.04-2.16
O 0.6323 0.2518 0.6534  1 Ta 1.96, 1 W 2.17
O 0.7482 0.3677 0.3466  1 Ta 1.96, 1 W 2.17
O 0.7988 0.8314 0.9163  1 Ta 1.97
O 0.8529 0.5242 0.5802  1 Ta 1.95
O 0.9054 0.9840 0.1465  1 Ta 2.01, 2 W 2.18-2.21